Entry 1:
! Mo3WSe6S2 (PBE, relaxed); values from VASP
&SYSTEM
  ibrav = 0, nat = 12, ntyp = 4
/
ATOMIC_SPECIES
Mo 95.94 Mo.upf
W 183.84 W.upf
Se 78.96 Se.upf
S 32.06 S.upf
CELL_PARAMETERS angstrom
3.292 0.000 0.000
-1.646 2.851 0.000
0.000 0.000 37.411
ATOMIC_POSITIONS crystal
Mo 0.000 0.000 0.000
Mo 0.000 0.000 0.376
Mo 0.333 0.667 0.564
W 0.333 0.667 0.188
Se 0.000 0.000 0.143
Se 0.000 0.000 0.233
Se 0.000 0.000 0.519
Se 0.000 0.000 0.609
Se 0.333 0.667 0.331
Se 0.333 0.667 0.421
S 0.333 0.667 0.041
S 0.333 0.667 0.959
! * relative energy among the computed polymorphs: 17 meV/atom
! * MP2020-corrected energy: -83.9 eV/cell


Entry 2:
! Y2ZnHg (PBE, relaxed); values from VASP
&SYSTEM
  ibrav = 0, nat = 16, ntyp = 3
/
ATOMIC_SPECIES
Y 88.91 Y.upf
Zn 65.41 Zn.upf
Hg 200.59 Hg.upf
CELL_PARAMETERS angstrom
7.340 0.000 0.000
0.000 7.340 0.000
0.000 0.000 7.340
ATOMIC_POSITIONS crystal
Y 0.250 0.250 0.250
Y 0.250 0.250 0.750
Y 0.250 0.750 0.250
Y 0.250 0.750 0.750
Y 0.750 0.250 0.250
Y 0.750 0.250 0.750
Y 0.750 0.750 0.250
Y 0.750 0.750 0.750
Zn 0.000 0.000 0.000
Zn 0.000 0.500 0.500
Zn 0.500 0.000 0.500
Zn 0.500 0.500 0.000
Hg 0.000 0.000 0.500
Hg 0.000 0.500 0.000
Hg 0.500 0.000 0.000
Hg 0.500 0.500 0.500
! * relative energy among the computed polymorphs: 0 meV/atom


Entry 3:
! Sm4Rh (PBE, relaxed); values from VASP
&SYSTEM
  ibrav = 0, nat = 10, ntyp = 2
/
ATOMIC_SPECIES
Sm 150.36 Sm.upf
Rh 102.91 Rh.upf
CELL_PARAMETERS angstrom
0.000 5.491 5.491
5.491 0.000 5.491
5.491 5.491 0.000
ATOMIC_POSITIONS crystal
Sm 0.209 0.764 0.764
Sm 0.236 0.236 0.236
Sm 0.236 0.236 0.791
Sm 0.236 0.791 0.236
Sm 0.764 0.209 0.764
Sm 0.764 0.764 0.209
Sm 0.764 0.764 0.764
Sm 0.791 0.236 0.236
Rh 0.375 0.375 0.375
Rh 0.625 0.625 0.625
! * DFT total energy: -5.161 eV/atom


Entry 4:
! Cu9P4H2O20 (PBE, relaxed); values from VASP
&SYSTEM
  ibrav = 0, nat = 35, ntyp = 4
/
ATOMIC_SPECIES
Cu 63.55 Cu.upf
P 30.97 P.upf
H 1.01 H.upf
O 16.00 O.upf
CELL_PARAMETERS angstrom
5.956 0.000 0.000
-0.620 8.212 0.000
-1.872 -3.690 7.916
ATOMIC_POSITIONS crystal
Cu 0.000 0.000 0.000
Cu 0.026 0.320 0.356
Cu 0.181 0.398 0.055
Cu 0.318 0.220 0.682
Cu 0.436 0.181 0.292
Cu 0.564 0.819 0.708
Cu 0.682 0.780 0.318
Cu 0.819 0.602 0.945
Cu 0.974 0.680 0.644
P 0.201 0.752 0.407
P 0.337 0.729 0.970
P 0.663 0.271 0.030
P 0.799 0.248 0.593
H 0.137 0.045 0.384
H 0.863 0.955 0.616
O 0.012 0.829 0.318
O 0.086 0.598 0.440
O 0.154 0.568 0.945
O 0.165 0.238 0.166
O 0.228 0.171 0.438
O 0.271 0.910 0.076
O 0.333 0.905 0.582
O 0.334 0.713 0.790
O 0.366 0.671 0.295
O 0.416 0.280 0.937
O 0.584 0.720 0.063
O 0.634 0.329 0.705
O 0.666 0.287 0.210
O 0.667 0.095 0.418
O 0.729 0.090 0.924
O 0.772 0.829 0.562
O 0.835 0.762 0.834
O 0.846 0.432 0.055
O 0.914 0.402 0.560
O 0.988 0.171 0.682
! * relative energy among the computed polymorphs: 0 meV/atom
! * MP2020-corrected energy: -222.5 eV/cell


Q: Which formula does entry 4 have?
A: Cu9P4H2O20